Material: Li4V4O3F9
Method: DFT, GGA+U
State: relaxed

Calculated values
- SG = P1 (1)
- ρ (g cm⁻³) = 3.40
- calculated volume (Å³/cell) = 220.2
- raw total energy (eV/atom) = -6.061
- energy of formation from the pure elements (eV/atom) = -2.910
- distance to the lowest polymorph of the same formula (eV per atom) = 0.000

a b c (Å): 5.149 5.579 9.209
angles (deg): 85.87 74.02 117.15
Fractional positions:
V 0.490 0.779 0.761
F 0.262 0.470 0.299
V 0.984 0.512 0.501
Li 0.322 0.771 0.147
O 0.613 0.289 0.436
F 0.718 0.558 0.709
F 0.736 0.038 0.192
Li 0.769 0.995 0.401
V 0.059 0.027 0.998
F 0.919 0.630 0.115
F 0.100 0.897 0.371
O 0.240 0.944 0.810
F 0.890 0.120 0.626
F 0.397 0.699 0.562
F 0.628 0.808 0.952
Li 0.779 0.485 0.908
Li 0.298 0.202 0.632
O 0.393 0.188 0.068
F 0.122 0.392 0.872
V 0.511 0.272 0.255

Material: LuCr2O2
Method: DFT, GGA+U
State: relaxed

Calculated values
- SG = I4_1/amd (141)
- ρ (g cm⁻³) = 5.49
- calculated volume (Å³/cell) = 376.4
- raw total energy (eV/atom) = -6.816
- energy of formation from the pure elements (eV/atom) = -1.146

a b c (Å): 7.882 7.882 7.882
angles (deg): 110.83 110.83 106.78
Fractional positions:
O 0.476 0.325 0.151
Cr 0.230 0.035 0.806
O 0.075 0.424 0.349
Cr 0.785 0.480 0.306
Cr 0.520 0.215 0.694
Cr 0.520 0.826 0.306
O 0.675 0.826 0.151
O 0.274 0.925 0.349
O 0.576 0.925 0.651
Lu 0.375 0.125 0.250
Cr 0.174 0.480 0.694
O 0.174 0.325 0.849
Lu 0.875 0.125 0.250
O 0.675 0.524 0.849
O 0.075 0.726 0.651
Cr 0.965 0.770 0.194
Cr 0.576 0.770 0.806
Cr 0.230 0.424 0.194
Lu 0.875 0.625 0.750
Lu 0.875 0.125 0.750

Material: MgMn2O4
Method: DFT, GGA+U
State: relaxed

Calculated values
- SG = Cm (8)
- ρ (g cm⁻³) = 4.05
- calculated volume (Å³/cell) = 81.2
- raw total energy (eV/atom) = -6.883
- energy of formation from the pure elements (eV/atom) = -2.078
- distance to the lowest polymorph of the same formula (eV per atom) = 0.263

a b c (Å): 3.070 10.105 3.073
angles (deg): 90.00 59.96 98.80
Fractional positions:
O 0.397 0.596 0.801
Mn 0.990 0.984 0.005
O 0.269 0.904 0.365
Mg 0.169 0.257 0.915
O 0.750 0.127 0.625
Mn 0.011 0.516 0.495
O 0.580 0.372 0.210

Material: NaVP2O8
Method: DFT, GGA+U
State: relaxed

Calculated values
- SG = P4_2nm (102)
- ρ (g cm⁻³) = 2.55
- calculated volume (Å³/cell) = 686.3
- raw total energy (eV/atom) = -6.983
- energy of formation from the pure elements (eV/atom) = -2.515

a b c (Å): 8.220 8.220 10.157
angles (deg): 90.00 90.00 90.00
Fractional positions:
O 0.500 0.500 0.922
O 0.500 0.000 0.127
O 0.291 0.920 0.426
O 0.882 0.118 0.637
O 0.289 0.925 0.920
O 0.500 0.000 0.627
P 0.625 0.625 0.991
O 0.618 0.618 0.137
O 0.000 0.000 0.422
Na 0.168 0.168 0.749
O 0.920 0.291 0.426
O 0.575 0.789 0.420
O 0.789 0.575 0.420
V 0.000 0.500 0.470
O 0.211 0.425 0.420
V 0.500 0.000 0.470
O 0.500 0.500 0.447
Na 0.668 0.332 0.249
V 0.000 0.500 0.970
V 0.500 0.000 0.970
O 0.849 0.151 0.140
O 0.075 0.711 0.920
O 0.580 0.791 0.926
P 0.125 0.875 0.491
O 0.000 0.500 0.127
P 0.875 0.125 0.491
O 0.709 0.080 0.426
O 0.925 0.289 0.920
O 0.425 0.211 0.420
P 0.634 0.634 0.495
O 0.000 0.500 0.627
O 0.000 0.000 0.947
O 0.118 0.882 0.637
O 0.382 0.382 0.137
O 0.151 0.849 0.140
P 0.375 0.375 0.991
P 0.134 0.866 0.995
O 0.349 0.349 0.640
P 0.366 0.366 0.495
O 0.420 0.209 0.926
O 0.651 0.651 0.640
O 0.080 0.709 0.426
Na 0.332 0.668 0.249
O 0.711 0.075 0.920
O 0.791 0.580 0.926
O 0.209 0.420 0.926
Na 0.832 0.832 0.749
P 0.866 0.134 0.995

Material: CrFe3O6
Method: DFT, GGA+U
State: relaxed

Calculated values
- SG = P1 (1)
- ρ (g cm⁻³) = 3.97
- calculated volume (Å³/cell) = 1055.9
- raw total energy (eV/atom) = -6.725
- energy of formation from the pure elements (eV/atom) = -1.539
- distance to the lowest polymorph of the same formula (eV per atom) = 0.000

a b c (Å): 10.168 10.221 10.168
angles (deg): 89.71 91.44 91.68
Fractional positions:
O 0.622 0.476 0.905
O 0.149 0.376 0.697
O 0.921 0.431 0.801
Fe 0.329 0.220 0.374
Fe 0.125 0.780 0.435
Cr 0.044 0.069 0.513
O 0.164 0.884 0.599
Fe 0.041 0.516 0.233
Fe 0.023 0.557 0.954
O 0.681 0.199 0.849
O 0.684 0.645 0.223
O 0.132 0.624 0.814
O 0.383 0.617 0.348
Fe 0.061 0.024 0.968
Fe 0.806 0.122 0.734
O 0.373 0.376 0.909
O 0.238 0.945 0.022
Fe 0.321 0.537 0.513
O 0.690 0.753 0.481
Fe 0.848 0.798 0.830
Cr 0.551 0.299 0.941
O 0.483 0.119 0.358
Cr 0.302 0.612 0.164
Fe 0.569 0.648 0.370
Fe 0.247 0.314 0.055
O 0.617 0.696 0.757
Fe 0.695 0.449 0.187
O 0.802 0.886 0.238
O 0.991 0.670 0.339
Fe 0.328 0.333 0.703
O 0.750 0.141 0.149
Fe 0.884 0.055 0.258
Fe 0.332 0.990 0.614
Cr 0.627 0.822 0.635
Cr 0.762 0.547 0.787
O 0.032 0.026 0.153
O 0.744 0.208 0.575
O 0.885 0.666 0.685
Fe 0.214 0.995 0.197
O 0.159 0.616 0.534
Cr 0.337 0.049 0.890
O 0.548 0.328 0.132
O 0.341 0.353 0.502
O 0.855 0.640 0.940
Fe 0.460 0.559 0.867
O 0.335 0.892 0.786
O 0.018 0.883 0.850
Fe 0.028 0.533 0.662
O 0.752 0.937 0.701
Cr 0.045 0.275 0.818
O 0.676 0.455 0.634
Fe 0.553 0.141 0.185
O 0.396 0.525 0.689
O 0.679 0.387 0.382
Cr 0.756 0.367 0.525
O 0.255 0.856 0.317
O 0.481 0.124 0.998
O 0.270 0.180 0.196
O 0.138 0.642 0.098
O 0.973 0.911 0.437
O 0.910 0.426 0.523
Fe 0.846 0.771 0.375
O 0.962 0.164 0.391
Fe 0.165 0.801 0.772
O 0.244 0.440 0.201
Fe 0.452 0.914 0.345
O 0.883 0.423 0.165
O 0.991 0.132 0.671
O 0.188 0.169 0.914
O 0.077 0.372 0.989
O 0.726 0.868 0.962
O 0.223 0.094 0.474
Fe 0.669 0.805 0.126
O 0.541 0.929 0.176
O 0.373 0.147 0.718
O 0.920 0.145 0.911
Fe 0.876 0.275 0.051
O 0.478 0.889 0.547
Fe 0.671 0.047 0.973
O 0.412 0.636 0.035

Material: V4O9
Method: DFT, GGA+U
State: relaxed

Calculated values
- SG = Cmcm (63)
- ρ (g cm⁻³) = 3.24
- calculated volume (Å³/cell) = 712.4
- raw total energy (eV/atom) = -7.522
- energy of formation from the pure elements (eV/atom) = -2.300
- distance to the lowest polymorph of the same formula (eV per atom) = 0.052

a b c (Å): 6.934 6.934 15.163
angles (deg): 90.00 90.00 102.27
Fractional positions:
O 0.706 0.969 0.140
V 0.308 0.308 0.868
V 0.784 0.210 0.885
O 0.367 0.614 0.868
O 0.027 0.300 0.357
V 0.790 0.216 0.115
O 0.300 0.027 0.143
V 0.678 0.678 0.874
V 0.308 0.308 0.632
V 0.692 0.692 0.368
O 0.633 0.386 0.132
V 0.784 0.210 0.615
V 0.216 0.790 0.385
O 0.367 0.614 0.632
O 0.794 0.206 0.000
O 0.700 0.973 0.857
V 0.210 0.784 0.615
O 0.969 0.706 0.360
O 0.294 0.031 0.640
O 0.973 0.700 0.857
O 0.794 0.206 0.500
V 0.692 0.692 0.132
V 0.210 0.784 0.885
O 0.319 0.319 0.750
V 0.678 0.678 0.626
V 0.790 0.216 0.385
O 0.614 0.367 0.632
O 0.386 0.633 0.132
O 0.300 0.027 0.357
O 0.332 0.332 0.250
O 0.689 0.689 0.992
O 0.973 0.700 0.643
O 0.614 0.367 0.868
O 0.311 0.311 0.008
O 0.311 0.311 0.492
O 0.700 0.973 0.643
V 0.322 0.322 0.126
O 0.969 0.706 0.140
O 0.689 0.689 0.508
O 0.386 0.633 0.368
V 0.322 0.322 0.374
O 0.206 0.794 0.500
O 0.206 0.794 0.000
O 0.031 0.294 0.640
O 0.706 0.969 0.360
O 0.668 0.668 0.750
O 0.633 0.386 0.368
V 0.216 0.790 0.115
O 0.031 0.294 0.860
O 0.681 0.681 0.250
O 0.027 0.300 0.143
O 0.294 0.031 0.860

Material: Li2MnSiO4
Method: DFT, GGA+U
State: relaxed

Calculated values
- piezoelectric modulus e_max (C/m2) = 0.9
- ρ (g cm⁻³) = 3.05
- calculated volume (Å³/cell) = 350.4
- raw total energy (eV/atom) = -6.913
- energy of formation from the pure elements (eV/atom) = -2.690
- distance to the lowest polymorph of the same formula (eV per atom) = 0.000

a b c (Å): 5.049 5.441 12.754
angles (deg): 90.00 90.00 90.00
Fractional positions:
Si 0.050 0.179 0.500
Li 0.557 0.331 0.375
O 0.163 0.321 0.606
O 0.163 0.321 0.106
Li 0.057 0.669 0.875
Li 0.557 0.331 0.625
O 0.723 0.188 0.000
O 0.223 0.812 0.750
O 0.144 0.887 0.000
Si 0.550 0.821 0.250
O 0.644 0.113 0.750
Mn 0.559 0.834 0.000
O 0.663 0.679 0.356
Li 0.057 0.669 0.375
Mn 0.059 0.166 0.250
Li 0.557 0.331 0.125
Mn 0.559 0.834 0.500
O 0.663 0.679 0.856
O 0.163 0.321 0.894
Li 0.057 0.669 0.125
Li 0.057 0.669 0.625
O 0.663 0.679 0.144
Mn 0.060 0.166 0.750
O 0.144 0.887 0.500
O 0.723 0.188 0.500
Si 0.050 0.179 0.000
O 0.663 0.679 0.644
O 0.223 0.812 0.250
O 0.644 0.113 0.250
Si 0.550 0.821 0.750
Li 0.557 0.331 0.875
O 0.163 0.321 0.394

Material: Li2Cr3O6
Method: DFT, GGA+U
State: relaxed

Calculated values
- SG = Cmce (64)
- ρ (g cm⁻³) = 3.83
- calculated volume (Å³/cell) = 230.6
- raw total energy (eV/atom) = -6.989
- energy of formation from the pure elements (eV/atom) = -2.230
- distance to the lowest polymorph of the same formula (eV per atom) = 0.024

a b c (Å): 5.132 5.132 10.100
angles (deg): 90.00 90.00 119.93
Fractional positions:
O 0.007 0.664 0.107
Cr 0.500 0.500 0.500
Li 0.658 0.158 0.750
Cr 0.835 0.165 0.500
O 0.330 0.330 0.094
Li 0.342 0.842 0.250
O 0.993 0.336 0.893
O 0.670 0.670 0.906
Li 0.842 0.342 0.250
Cr 0.000 0.000 0.000
Cr 0.665 0.335 0.000
O 0.836 0.493 0.607
O 0.493 0.836 0.607
O 0.830 0.830 0.406
O 0.507 0.164 0.393
Li 0.158 0.658 0.750
Cr 0.165 0.835 0.500
Cr 0.335 0.665 0.000
O 0.664 0.007 0.107
O 0.164 0.507 0.393
O 0.336 0.993 0.893
O 0.170 0.170 0.594